36
Lattice="-2.369 2.418 1.492 3.413 -2.350 9.228 8.760 9.145 -0.911" Properties=species:S:1:pos:R:3 comment="NaAlCdF6, relaxed, DFT GGA-PBE" magmom_total_mub_per_cell=0.0 final_energy_ev_per_atom=-4.876 space_group="No. 62" pbc="T T T"
Na 4.154 3.633 3.000
Na 1.788 0.652 8.661
Na 8.017 8.561 1.147
Na 5.651 5.580 6.808
F 3.765 2.169 4.756
F 6.314 5.959 2.660
F 0.637 0.796 6.600
F 5.754 3.415 5.893
F 9.168 8.416 3.209
F -1.046 1.719 2.432
F 1.499 1.686 1.942
F 8.161 5.091 7.000
F 3.531 0.691 6.780
F 9.820 5.588 8.828
F -0.015 3.624 0.981
F 6.054 4.654 8.947
F 4.051 5.797 3.916
F 3.491 3.253 7.149
F 6.273 8.522 3.028
F 9.093 6.933 5.495
F 6.039 7.043 5.052
F 10.851 7.494 7.377
F 8.305 7.527 7.867
F 4.338 7.371 1.821
F 1.643 4.122 2.808
F 5.467 1.842 7.987
F 0.711 2.280 4.313
F 3.751 4.558 0.861
Al 5.136 7.136 3.467
Al 4.669 2.076 6.342
Al 9.527 6.319 7.178
Al 0.277 2.893 2.630
Cd 2.169 0.530 4.878
Cd 1.550 5.285 0.774
Cd 7.636 8.683 4.930
Cd 8.255 3.927 9.035

88
Lattice="-4.438 0.923 7.921 -2.934 -8.688 -0.631 10.715 -11.226 7.311" Properties=species:S:1:pos:R:3 comment="As3H9RhC3Cl3O3, relaxed, DFT GGA-PBE" magmom_total_mub_per_cell=0.0 final_energy_ev_per_atom=-5.058 space_group="No. 14" pbc="T T T"
H -1.442 -6.528 7.598
H 5.082 -7.302 3.835
H 5.134 -8.933 9.745
H -1.193 -2.618 3.840
H -2.719 -2.668 2.858
H 3.712 -12.098 11.617
H -1.071 -5.394 2.274
H -2.150 -10.484 9.478
H 5.723 -17.739 10.667
H 4.785 -12.463 7.003
H -1.791 -10.058 4.856
H 5.376 -12.612 11.136
H -1.738 -11.689 10.766
H -0.512 -10.457 10.260
H 5.509 -15.718 7.180
H -0.620 -8.052 8.094
H 6.063 -16.323 11.743
H 4.181 -16.806 6.608
H -0.158 -10.041 4.077
H -1.021 -6.783 9.336
H -2.166 -3.272 7.421
H 3.855 -8.534 4.341
H -0.838 -2.185 7.993
H -1.961 -2.959 9.191
H 4.365 -12.208 5.264
H 3.502 -8.949 10.524
H 5.494 -8.507 5.123
H 5.305 -16.032 5.410
H -0.368 -6.893 2.984
H 4.791 -7.854 11.165
H 3.963 -10.939 6.507
H -2.033 -6.379 3.465
H 4.415 -13.597 12.327
H -1.447 -11.137 3.436
H -2.379 -1.252 3.933
H 4.537 -16.373 10.761
O -4.042 -1.505 6.630
O 4.303 -7.674 7.488
O 3.086 -16.656 13.110
O 0.855 -4.752 9.140
O -3.055 -8.587 2.138
O 7.386 -17.485 7.971
O 0.257 -2.334 1.491
O 2.489 -14.239 5.461
O -0.960 -11.316 7.113
O 1.325 -11.726 5.570
O 2.018 -7.264 9.031
O 6.399 -10.404 12.463
C -1.853 -2.547 8.180
C 5.196 -16.444 6.421
C 5.288 -16.959 11.302
C -1.355 -11.079 9.941
C -1.035 -10.649 4.325
C 4.077 -12.009 6.302
C 4.379 -8.342 10.276
C 4.632 -12.596 11.940
C 4.698 -7.911 4.660
C -0.733 -6.982 8.299
C -1.289 -6.394 2.661
C -1.945 -2.031 3.299
As -0.671 -12.303 8.608
As 4.403 -17.857 12.770
As -2.035 -7.412 1.199
As 5.379 -11.579 13.402
As 4.014 -6.688 5.993
As 3.804 -6.943 9.075
As 2.349 -12.822 6.592
As -1.059 -1.134 1.831
As 0.995 -6.169 8.009
As 6.376 -17.968 6.543
As -3.032 -1.023 8.058
As -0.460 -12.048 5.526
Cl -3.851 -8.269 9.226
Cl 7.195 -10.722 5.375
Cl -0.301 -4.664 5.537
Cl -4.207 -5.257 7.344
Cl 1.178 -7.910 5.413
Cl 2.623 -5.241 3.603
Cl 7.550 -13.734 7.257
Cl 0.720 -13.750 10.998
Cl 7.048 -10.660 8.925
Cl 2.166 -11.081 9.188
Cl 3.645 -14.327 9.064
Cl -3.704 -8.331 5.676
Rh 1.881 -5.648 5.862
Rh 1.463 -13.343 8.739
Rh -5.179 -7.463 7.376
Rh 8.523 -11.528 7.225

What is the formula in the second record? As3H9RhC3Cl3O3

Copy entry 2 word for word.
88
Lattice="-4.438 0.923 7.921 -2.934 -8.688 -0.631 10.715 -11.226 7.311" Properties=species:S:1:pos:R:3 comment="As3H9RhC3Cl3O3, relaxed, DFT GGA-PBE" magmom_total_mub_per_cell=0.0 final_energy_ev_per_atom=-5.058 space_group="No. 14" pbc="T T T"
H -1.442 -6.528 7.598
H 5.082 -7.302 3.835
H 5.134 -8.933 9.745
H -1.193 -2.618 3.840
H -2.719 -2.668 2.858
H 3.712 -12.098 11.617
H -1.071 -5.394 2.274
H -2.150 -10.484 9.478
H 5.723 -17.739 10.667
H 4.785 -12.463 7.003
H -1.791 -10.058 4.856
H 5.376 -12.612 11.136
H -1.738 -11.689 10.766
H -0.512 -10.457 10.260
H 5.509 -15.718 7.180
H -0.620 -8.052 8.094
H 6.063 -16.323 11.743
H 4.181 -16.806 6.608
H -0.158 -10.041 4.077
H -1.021 -6.783 9.336
H -2.166 -3.272 7.421
H 3.855 -8.534 4.341
H -0.838 -2.185 7.993
H -1.961 -2.959 9.191
H 4.365 -12.208 5.264
H 3.502 -8.949 10.524
H 5.494 -8.507 5.123
H 5.305 -16.032 5.410
H -0.368 -6.893 2.984
H 4.791 -7.854 11.165
H 3.963 -10.939 6.507
H -2.033 -6.379 3.465
H 4.415 -13.597 12.327
H -1.447 -11.137 3.436
H -2.379 -1.252 3.933
H 4.537 -16.373 10.761
O -4.042 -1.505 6.630
O 4.303 -7.674 7.488
O 3.086 -16.656 13.110
O 0.855 -4.752 9.140
O -3.055 -8.587 2.138
O 7.386 -17.485 7.971
O 0.257 -2.334 1.491
O 2.489 -14.239 5.461
O -0.960 -11.316 7.113
O 1.325 -11.726 5.570
O 2.018 -7.264 9.031
O 6.399 -10.404 12.463
C -1.853 -2.547 8.180
C 5.196 -16.444 6.421
C 5.288 -16.959 11.302
C -1.355 -11.079 9.941
C -1.035 -10.649 4.325
C 4.077 -12.009 6.302
C 4.379 -8.342 10.276
C 4.632 -12.596 11.940
C 4.698 -7.911 4.660
C -0.733 -6.982 8.299
C -1.289 -6.394 2.661
C -1.945 -2.031 3.299
As -0.671 -12.303 8.608
As 4.403 -17.857 12.770
As -2.035 -7.412 1.199
As 5.379 -11.579 13.402
As 4.014 -6.688 5.993
As 3.804 -6.943 9.075
As 2.349 -12.822 6.592
As -1.059 -1.134 1.831
As 0.995 -6.169 8.009
As 6.376 -17.968 6.543
As -3.032 -1.023 8.058
As -0.460 -12.048 5.526
Cl -3.851 -8.269 9.226
Cl 7.195 -10.722 5.375
Cl -0.301 -4.664 5.537
Cl -4.207 -5.257 7.344
Cl 1.178 -7.910 5.413
Cl 2.623 -5.241 3.603
Cl 7.550 -13.734 7.257
Cl 0.720 -13.750 10.998
Cl 7.048 -10.660 8.925
Cl 2.166 -11.081 9.188
Cl 3.645 -14.327 9.064
Cl -3.704 -8.331 5.676
Rh 1.881 -5.648 5.862
Rh 1.463 -13.343 8.739
Rh -5.179 -7.463 7.376
Rh 8.523 -11.528 7.225